No. 1
Entry from the Materials Project database: an optimized crystal structure of LiMg2 (PBE).

Computed properties:
**SG**: No. 164
**VASP energy**: -1.709 eV/atom

Cell and atoms, written as POSCAR:
```
LiMg2
1.0
3.200 0.000 0.000
-1.600 2.771 0.000
0.000 0.000 14.938
Li Mg
2 4
Direct
0.333 0.667 0.083
0.667 0.333 0.917
0.333 0.667 0.416
0.333 0.667 0.752
0.667 0.333 0.248
0.667 0.333 0.584
```

=====

No. 2
Entry from the Materials Project database: an optimized crystal structure of MnCr (PBE).

Computed properties:
**SG**: No. 65
**VASP energy**: -9.341 eV/atom

Cell and atoms, written as POSCAR:
```
MnCr
1.0
2.829 0.000 0.000
0.000 4.034 0.000
0.000 0.000 3.985
Mn Cr
2 2
Direct
0.000 0.000 0.000
0.500 0.500 0.000
0.000 0.500 0.500
0.500 0.000 0.500
```

=====

No. 3
Entry from the Materials Project database: an optimized crystal structure of TlAsH2F10 (PBE).

Computed properties:
**SG**: No. 14
**VASP energy**: -4.174 eV/atom
**Spin magnetization**: 0.00 μB per formula unit

Cell and atoms, written as POSCAR:
```
TlAsH2F10
1.0
5.692 0.000 0.000
0.000 6.042 0.000
-2.098 0.000 22.274
Tl As H F
4 4 8 40
Direct
0.247 0.107 0.231
0.247 0.393 0.731
0.753 0.607 0.269
0.753 0.893 0.769
0.486 0.728 0.103
0.486 0.772 0.603
0.514 0.228 0.397
0.514 0.272 0.897
0.021 0.212 0.103
0.021 0.288 0.603
0.094 0.744 0.487
0.094 0.756 0.987
0.906 0.244 0.013
0.906 0.256 0.513
0.979 0.712 0.397
0.979 0.788 0.897
0.005 0.673 0.354
0.005 0.827 0.854
0.040 0.231 0.542
0.040 0.269 0.042
0.056 0.080 0.752
0.056 0.420 0.252
0.258 0.686 0.547
0.258 0.814 0.047
0.275 0.607 0.145
0.275 0.893 0.645
0.285 0.155 0.339
0.285 0.345 0.839
0.305 0.130 0.935
0.305 0.370 0.435
0.441 0.516 0.644
0.441 0.984 0.144
0.444 0.695 0.767
0.444 0.805 0.267
0.467 0.519 0.934
0.467 0.981 0.434
0.533 0.019 0.566
0.533 0.481 0.066
0.556 0.195 0.733
0.556 0.305 0.233
0.559 0.016 0.856
0.559 0.484 0.356
0.695 0.630 0.565
0.695 0.870 0.065
0.715 0.655 0.161
0.715 0.845 0.661
0.725 0.107 0.355
0.725 0.393 0.855
0.742 0.186 0.953
0.742 0.314 0.453
0.944 0.580 0.748
0.944 0.920 0.248
0.960 0.731 0.958
0.960 0.769 0.458
0.995 0.173 0.146
0.995 0.327 0.646
```

=====

No. 4
Entry from the Materials Project database: an optimized crystal structure of HoIn2Ni9 (PBE).

Computed properties:
**SG**: No. 127
**VASP energy**: -5.393 eV/atom
**Spin magnetization**: 0.21 μB per formula unit

Cell and atoms, written as POSCAR:
```
HoIn2Ni9
1.0
8.241 0.000 0.000
0.000 8.241 0.000
0.000 0.000 4.805
Ho In Ni
2 4 18
Direct
0.000 0.000 0.000
0.500 0.500 0.000
0.124 0.376 0.000
0.376 0.876 0.000
0.624 0.124 0.000
0.876 0.624 0.000
0.000 0.500 0.500
0.063 0.206 0.500
0.176 0.676 0.248
0.176 0.676 0.752
0.206 0.937 0.500
0.294 0.437 0.500
0.324 0.176 0.248
0.324 0.176 0.752
0.437 0.706 0.500
0.500 0.000 0.500
0.563 0.294 0.500
0.676 0.824 0.248
0.676 0.824 0.752
0.706 0.563 0.500
0.794 0.063 0.500
0.824 0.324 0.248
0.824 0.324 0.752
0.937 0.794 0.500
```

=====

No. 5
Entry from the Materials Project database: an optimized crystal structure of LiTiP4O12 (PBE).

Computed properties:
**SG**: No. 4
**VASP energy**: -7.260 eV/atom
**Spin magnetization**: 1.00 μB per formula unit

Cell and atoms, written as POSCAR:
```
LiTiP4O12
1.0
6.918 0.000 0.000
0.000 8.961 0.000
-0.962 0.000 7.060
Li Ti P O
2 2 8 24
Direct
0.176 0.000 0.320
0.824 0.500 0.680
0.218 0.709 0.773
0.782 0.209 0.227
0.024 0.211 0.944
0.092 0.511 0.373
0.424 0.361 0.930
0.458 0.671 0.415
0.542 0.171 0.585
0.576 0.861 0.070
0.908 0.011 0.627
0.976 0.711 0.056
0.017 0.359 0.316
0.021 0.100 0.104
0.045 0.132 0.747
0.086 0.548 0.580
0.156 0.805 0.068
0.213 0.308 0.970
0.306 0.539 0.316
0.328 0.775 0.511
0.371 0.099 0.475
0.407 0.520 0.866
0.445 0.829 0.886
0.469 0.251 0.766
0.531 0.751 0.234
0.555 0.329 0.114
0.593 0.020 0.134
0.629 0.599 0.525
0.672 0.275 0.489
0.694 0.039 0.684
0.787 0.808 0.030
0.844 0.305 0.932
0.914 0.048 0.420
0.955 0.632 0.253
0.979 0.600 0.896
0.983 0.859 0.684
```

=====

No. 6
Entry from the Materials Project database: an optimized crystal structure of Sr8Al7 (PBE).

Computed properties:
**SG**: No. 198
**VASP energy**: -2.834 eV/atom
**Spin magnetization**: 1.02 μB per formula unit

Cell and atoms, written as POSCAR:
```
Sr8Al7
1.0
12.762 0.000 0.000
0.000 12.762 0.000
0.000 0.000 12.762
Sr Al
32 28
Direct
0.006 0.197 0.940
0.023 0.205 0.436
0.060 0.506 0.303
0.064 0.977 0.705
0.185 0.815 0.315
0.187 0.687 0.813
0.197 0.940 0.006
0.205 0.436 0.023
0.295 0.564 0.523
0.303 0.060 0.506
0.313 0.313 0.313
0.315 0.185 0.815
0.436 0.023 0.205
0.440 0.494 0.803
0.477 0.795 0.936
0.494 0.803 0.440
0.506 0.303 0.060
0.523 0.295 0.564
0.560 0.994 0.697
0.564 0.523 0.295
0.685 0.685 0.685
0.687 0.813 0.187
0.697 0.560 0.994
0.705 0.064 0.977
0.795 0.936 0.477
0.803 0.440 0.494
0.813 0.187 0.687
0.815 0.315 0.185
0.936 0.477 0.795
0.940 0.006 0.197
0.977 0.705 0.064
0.994 0.697 0.560
0.069 0.431 0.569
0.076 0.253 0.690
0.081 0.252 0.185
0.185 0.081 0.252
0.190 0.424 0.747
0.247 0.310 0.576
0.248 0.815 0.581
0.252 0.185 0.081
0.253 0.690 0.076
0.310 0.576 0.247
0.315 0.919 0.752
0.419 0.748 0.685
0.424 0.747 0.190
0.431 0.569 0.069
0.569 0.069 0.431
0.576 0.247 0.310
0.581 0.248 0.815
0.685 0.419 0.748
0.690 0.076 0.253
0.747 0.190 0.424
0.748 0.685 0.419
0.752 0.315 0.919
0.753 0.810 0.924
0.810 0.924 0.753
0.815 0.581 0.248
0.919 0.752 0.315
0.924 0.753 0.810
0.931 0.931 0.931
```

=====

No. 7
Entry from the Materials Project database: an optimized crystal structure of MgBi2O4 (PBE).

Computed properties:
**SG**: No. 63
**VASP energy**: -5.545 eV/atom
**Spin magnetization**: 0.00 μB per formula unit

Cell and atoms, written as POSCAR:
```
MgBi2O4
1.0
1.638 -5.636 0.000
1.638 5.636 0.000
0.000 0.000 11.184
Mg Bi O
2 4 8
Direct
0.111 0.889 0.750
0.889 0.111 0.250
0.368 0.632 0.580
0.368 0.632 0.920
0.632 0.368 0.080
0.632 0.368 0.420
0.000 0.000 0.000
0.000 0.000 0.500
0.283 0.717 0.124
0.283 0.717 0.376
0.492 0.508 0.750
0.508 0.492 0.250
0.717 0.283 0.624
0.717 0.283 0.876
```

=====

No. 8
Entry from the Materials Project database: an optimized crystal structure of CeGaCu4 (PBE).

Computed properties:
**SG**: No. 187
**VASP energy**: -4.413 eV/atom
**Spin magnetization**: 1.22 μB per formula unit

Cell and atoms, written as POSCAR:
```
CeGaCu4
1.0
5.238 0.000 0.000
-2.619 4.536 0.000
0.000 0.000 4.060
Ce Ga Cu
1 1 4
Direct
0.000 0.000 0.000
0.333 0.667 0.000
0.502 0.004 0.500
0.502 0.498 0.500
0.667 0.333 0.000
0.996 0.498 0.500
```

=====

No. 9
Entry from the Materials Project database: an optimized crystal structure of CaAl12O19 (PBE).

Computed properties:
**SG**: No. 194
**VASP energy**: -7.426 eV/atom
**Spin magnetization**: 0.00 μB per formula unit

Cell and atoms, written as POSCAR:
```
CaAl12O19
1.0
5.616 0.000 0.000
-2.808 4.863 0.000
0.000 0.000 22.051
Ca Al O
2 24 38
Direct
0.333 0.667 0.250
0.667 0.333 0.750
0.000 0.000 0.000
0.000 0.000 0.250
0.000 0.000 0.500
0.000 0.000 0.750
0.168 0.337 0.110
0.168 0.337 0.390
0.168 0.832 0.110
0.168 0.832 0.390
0.333 0.667 0.528
0.333 0.667 0.691
0.333 0.667 0.809
0.333 0.667 0.972
0.337 0.168 0.610
0.337 0.168 0.890
0.663 0.832 0.110
0.663 0.832 0.390
0.667 0.333 0.028
0.667 0.333 0.191
0.667 0.333 0.309
0.667 0.333 0.472
0.832 0.168 0.610
0.832 0.168 0.890
0.832 0.663 0.610
0.832 0.663 0.890
0.000 0.000 0.150
0.000 0.000 0.350
0.000 0.000 0.650
0.000 0.000 0.850
0.007 0.504 0.150
0.007 0.504 0.350
0.155 0.310 0.552
0.155 0.310 0.948
0.155 0.845 0.552
0.155 0.845 0.948
0.182 0.363 0.750
0.182 0.818 0.750
0.310 0.155 0.052
0.310 0.155 0.448
0.333 0.667 0.055
0.333 0.667 0.445
0.363 0.182 0.250
0.496 0.504 0.150
0.496 0.504 0.350
0.496 0.993 0.150
0.496 0.993 0.350
0.504 0.007 0.650
0.504 0.007 0.850
0.504 0.496 0.650
0.504 0.496 0.850
0.637 0.818 0.750
0.667 0.333 0.555
0.667 0.333 0.945
0.690 0.845 0.552
0.690 0.845 0.948
0.818 0.182 0.250
0.818 0.637 0.250
0.845 0.155 0.052
0.845 0.155 0.448
0.845 0.690 0.052
0.845 0.690 0.448
0.993 0.496 0.650
0.993 0.496 0.850
```

=====

No. 10
Entry from the Materials Project database: an optimized crystal structure of Pm2TlZn (PBE).

Computed properties:
**SG**: No. 225
**VASP energy**: -3.621 eV/atom

Cell and atoms, written as POSCAR:
```
Pm2TlZn
1.0
7.586 0.000 0.000
0.000 7.586 0.000
0.000 0.000 7.586
Pm Tl Zn
8 4 4
Direct
0.250 0.250 0.250
0.250 0.250 0.750
0.250 0.750 0.250
0.250 0.750 0.750
0.750 0.250 0.250
0.750 0.250 0.750
0.750 0.750 0.250
0.750 0.750 0.750
0.000 0.000 0.000
0.000 0.500 0.500
0.500 0.000 0.500
0.500 0.500 0.000
0.000 0.000 0.500
0.000 0.500 0.000
0.500 0.000 0.000
0.500 0.500 0.500
```

=====

No. 11
Entry from the Materials Project database: an optimized crystal structure of Cs2NaTlBr6 (PBE).

Computed properties:
**SG**: No. 225
**VASP energy**: -2.786 eV/atom
**Spin magnetization**: 0.00 μB per formula unit

Cell and atoms, written as POSCAR:
```
Cs2NaTlBr6
1.0
0.000 5.745 5.745
5.745 0.000 5.745
5.745 5.745 0.000
Cs Na Tl Br
2 1 1 6
Direct
0.250 0.250 0.250
0.750 0.750 0.750
0.000 0.000 0.000
0.500 0.500 0.500
0.257 0.257 0.743
0.257 0.743 0.257
0.257 0.743 0.743
0.743 0.257 0.257
0.743 0.257 0.743
0.743 0.743 0.257
```

=====

No. 12
Entry from the Materials Project database: an optimized crystal structure of CeBeSiHO5 (PBE).

Computed properties:
**SG**: No. 14
**VASP energy**: -7.290 eV/atom
**Spin magnetization**: 1.00 μB per formula unit

Cell and atoms, written as POSCAR:
```
CeBeSiHO5
1.0
5.520 0.000 0.000
0.000 7.688 0.000
-1.784 0.000 8.400
Ce Be Si H O
4 4 4 4 20
Direct
0.012 0.124 0.319
0.012 0.376 0.819
0.988 0.624 0.181
0.988 0.876 0.681
0.399 0.600 0.550
0.399 0.900 0.050
0.601 0.100 0.950
0.601 0.400 0.450
0.465 0.201 0.671
0.465 0.299 0.171
0.535 0.701 0.829
0.535 0.799 0.329
0.014 0.086 0.966
0.014 0.414 0.466
0.986 0.586 0.534
0.986 0.914 0.034
0.108 0.648 0.486
0.108 0.852 0.986
0.234 0.082 0.583
0.234 0.418 0.083
0.256 0.622 0.801
0.256 0.878 0.301
0.413 0.237 0.848
0.413 0.263 0.348
0.480 0.097 0.108
0.480 0.403 0.608
0.520 0.597 0.392
0.520 0.903 0.892
0.587 0.737 0.652
0.587 0.763 0.152
0.744 0.122 0.699
0.744 0.378 0.199
0.766 0.582 0.917
0.766 0.918 0.417
0.892 0.148 0.014
0.892 0.352 0.514
```